1.
DFT (r2SCAN) results for an optimized crystal structure of CaGa4.

Summary:
* calculated formation energy: -423 meV per atom
* calculated density: 5322 kg/m³
* volume: 19.904 Å³/atom
* electronic total energy: -10.985 eV/atom

Unit cell a=6.1318 b=6.1318 c=6.1318 alpha=138.67 beta=138.67 gamma=59.88
Element x y z (fractional)
Ca 0.0000 0.0000 0.0000
Ga 0.2500 0.7500 0.5000
Ga 0.3847 0.3847 0.0000
Ga 0.6153 0.6153 0.0000
Ga 0.7500 0.2500 0.5000

2.
DFT (r2SCAN) results for an optimized crystal structure of Ca11Ga7.

Summary:
* calculated formation energy: -437 meV per atom
* calculated density: 2990 kg/m³
* volume: 28.659 Å³/atom
* electronic total energy: -9.189 eV/atom

Unit cell a=11.3421 b=11.3421 c=11.3421 alpha=60.00 beta=60.00 gamma=60.00
Element x y z (fractional)
Ca 0.0000 0.0000 0.0000
Ca 0.0000 0.0000 0.3358
Ca 0.0000 0.0000 0.6642
Ca 0.0000 0.3358 0.0000
Ca 0.0000 0.3358 0.6642
Ca 0.0000 0.6642 0.0000
Ca 0.0000 0.6642 0.3358
Ca 0.1108 0.6297 0.6297
Ca 0.3358 0.0000 0.0000
Ca 0.3358 0.0000 0.6642
Ca 0.3358 0.6642 0.0000
Ca 0.3703 0.3703 0.3703
Ca 0.3703 0.3703 0.8892
Ca 0.3703 0.8892 0.3703
Ca 0.5000 0.5000 0.5000
Ca 0.6297 0.1108 0.6297
Ca 0.6297 0.6297 0.1108
Ca 0.6297 0.6297 0.6297
Ca 0.6642 0.0000 0.0000
Ca 0.6642 0.0000 0.3358
Ca 0.6642 0.3358 0.0000
Ca 0.8892 0.3703 0.3703
Ga 0.1913 0.1913 0.1913
Ga 0.1913 0.1913 0.4262
Ga 0.1913 0.4262 0.1913
Ga 0.2800 0.2800 0.7200
Ga 0.2800 0.7200 0.2800
Ga 0.2800 0.7200 0.7200
Ga 0.4262 0.1913 0.1913
Ga 0.5738 0.8087 0.8087
Ga 0.7200 0.2800 0.2800
Ga 0.7200 0.2800 0.7200
Ga 0.7200 0.7200 0.2800
Ga 0.8087 0.5738 0.8087
Ga 0.8087 0.8087 0.5738
Ga 0.8087 0.8087 0.8087

3.
DFT (r2SCAN) results for an optimized crystal structure of Ca3Ga2Ge4O14.

Summary:
* calculated formation energy: -2362 meV per atom
* calculated density: 4550 kg/m³
* volume: 12.285 Å³/atom
* electronic total energy: -10.323 eV/atom

Unit cell a=8.0535 b=8.0535 c=4.9817 alpha=91.28 beta=91.28 gamma=61.02
Element x y z (fractional)
Ca 0.0000 0.0000 0.0000
Ca 0.4048 0.1670 0.0006
Ca 0.8330 0.5952 0.9994
Ga 0.1729 0.6003 0.5179
Ga 0.3997 0.8271 0.4821
Ge 0.0776 0.2606 0.4664
Ge 0.4105 0.5895 0.0000
Ge 0.6556 0.3444 0.5000
Ge 0.7394 0.9224 0.5336
O 0.0764 0.2538 0.8103
O 0.0890 0.4501 0.3183
O 0.2060 0.7256 0.2373
O 0.2510 0.0568 0.2995
O 0.2744 0.7940 0.7627
O 0.3343 0.4465 0.7830
O 0.4939 0.3698 0.2442
O 0.5499 0.9110 0.6817
O 0.5535 0.6657 0.2170
O 0.6302 0.5061 0.7558
O 0.7246 0.1327 0.6871
O 0.7462 0.9236 0.1897
O 0.8673 0.2754 0.3129
O 0.9432 0.7490 0.7005

4.
DFT (r2SCAN) results for an optimized crystal structure of CaGa3Ni2.

Summary:
* calculated formation energy: -515 meV per atom
* calculated density: 6283 kg/m³
* volume: 16.150 Å³/atom
* electronic total energy: -11.403 eV/atom

Unit cell a=6.2481 b=6.2481 c=5.0969 alpha=90.00 beta=90.00 gamma=76.91
Element x y z (fractional)
Ca 0.1574 0.8426 0.7500
Ca 0.8426 0.1574 0.2500
Ga 0.0314 0.5879 0.2500
Ga 0.4121 0.9686 0.2500
Ga 0.4444 0.5556 0.2500
Ga 0.5556 0.4444 0.7500
Ga 0.5879 0.0314 0.7500
Ga 0.9686 0.4121 0.7500
Ni 0.2923 0.2923 0.0000
Ni 0.2923 0.2923 0.5000
Ni 0.7077 0.7077 0.0000
Ni 0.7077 0.7077 0.5000

Question: Look up the calculated density of the third one.
Answer: 4550 kg/m³

Question: Look up the electronic total energy of the first one.
Answer: -10.985 eV/atom

Repeat the fourth record exactly.
DFT (r2SCAN) results for an optimized crystal structure of CaGa3Ni2.

Summary:
* calculated formation energy: -515 meV per atom
* calculated density: 6283 kg/m³
* volume: 16.150 Å³/atom
* electronic total energy: -11.403 eV/atom

Unit cell a=6.2481 b=6.2481 c=5.0969 alpha=90.00 beta=90.00 gamma=76.91
Element x y z (fractional)
Ca 0.1574 0.8426 0.7500
Ca 0.8426 0.1574 0.2500
Ga 0.0314 0.5879 0.2500
Ga 0.4121 0.9686 0.2500
Ga 0.4444 0.5556 0.2500
Ga 0.5556 0.4444 0.7500
Ga 0.5879 0.0314 0.7500
Ga 0.9686 0.4121 0.7500
Ni 0.2923 0.2923 0.0000
Ni 0.2923 0.2923 0.5000
Ni 0.7077 0.7077 0.0000
Ni 0.7077 0.7077 0.5000